(1)
Li2Mn3F10: relaxed, GGA+U.

The theoretical density comes out at 2.89 g/cm³. The calculation puts the energy of formation at -2.857 eV per atom. For the total DFT energy (no corrections), the calculation gives -0.410 Ry per atom.

Cell: 9.774 9.774 7.923 Å, 71.34 71.34 36.43°
Sites, in units of the cell vectors:
F 0.419 0.870 0.532
F 0.500 0.000 0.000
F 0.781 0.781 0.258
F 0.338 0.866 0.985
F 0.976 0.976 0.188
F 0.130 0.581 0.468
F 0.000 0.500 0.000
F 0.662 0.134 0.015
F 0.860 0.860 0.762
F 0.519 0.519 0.822
F 0.581 0.130 0.468
F 0.481 0.481 0.178
F 0.134 0.662 0.015
F 0.219 0.219 0.742
F 0.866 0.338 0.985
F 0.140 0.140 0.238
F 0.024 0.024 0.812
F 0.759 0.241 0.500
F 0.870 0.419 0.532
F 0.241 0.759 0.500
Li 0.285 0.285 0.511
Li 0.715 0.715 0.489
Li 0.435 0.435 0.442
Li 0.565 0.565 0.558
Mn 0.752 0.248 0.000
Mn 0.816 0.816 0.010
Mn 0.914 0.914 0.487
Mn 0.184 0.184 0.990
Mn 0.248 0.752 0.000
Mn 0.086 0.086 0.513



(2)
Li3MnF6: relaxed, GGA+U.

The theoretical density comes out at 2.85 g/cm³. The calculation puts the energy of formation at -3.028 eV per atom. For the total DFT energy (no corrections), the calculation gives -0.384 Ry per atom.

Cell: 8.565 8.565 10.394 Å, 83.53 83.53 61.19°
Sites, in units of the cell vectors:
F 0.747 0.107 0.430
F 0.600 0.562 0.555
F 0.109 0.426 0.389
F 0.066 0.075 0.336
F 0.562 0.600 0.055
F 0.759 0.444 0.803
F 0.444 0.759 0.303
F 0.893 0.253 0.070
F 0.914 0.237 0.560
F 0.107 0.747 0.930
F 0.556 0.241 0.697
F 0.732 0.783 0.846
F 0.237 0.914 0.060
F 0.253 0.893 0.570
F 0.440 0.753 0.801
F 0.400 0.438 0.445
F 0.086 0.763 0.440
F 0.241 0.556 0.197
F 0.426 0.109 0.889
F 0.106 0.414 0.892
F 0.217 0.268 0.654
F 0.075 0.066 0.836
F 0.574 0.891 0.111
F 0.586 0.894 0.608
F 0.934 0.925 0.664
F 0.268 0.217 0.154
F 0.925 0.934 0.164
F 0.891 0.574 0.611
F 0.414 0.106 0.392
F 0.783 0.732 0.346
F 0.753 0.440 0.301
F 0.894 0.586 0.108
F 0.247 0.560 0.699
F 0.438 0.400 0.945
F 0.560 0.247 0.199
F 0.763 0.086 0.940
Li 0.329 0.620 0.033
Li 0.008 0.714 0.278
Li 0.476 0.858 0.952
Li 0.198 0.802 0.750
Li 0.714 0.008 0.778
Li 0.524 0.142 0.048
Li 0.286 0.992 0.222
Li 0.659 0.943 0.431
Li 0.057 0.341 0.069
Li 0.380 0.671 0.467
Li 0.142 0.524 0.548
Li 0.341 0.057 0.569
Li 0.802 0.198 0.250
Li 0.620 0.329 0.533
Li 0.943 0.659 0.931
Li 0.858 0.476 0.452
Li 0.671 0.380 0.967
Li 0.992 0.286 0.722
Mn 0.000 0.000 0.500
Mn 0.663 0.667 0.703
Mn 0.333 0.337 0.797
Mn 0.667 0.663 0.203
Mn 0.337 0.333 0.297
Mn 0.000 0.000 0.000



(3)
LiMnF3: relaxed, GGA+U.

The theoretical density comes out at 2.98 g/cm³. The calculation puts the energy of formation at -2.977 eV per atom. For the total DFT energy (no corrections), the calculation gives -0.421 Ry per atom.

Cell: 7.001 8.051 21.516 Å, 82.98 82.40 88.74°
Sites, in units of the cell vectors:
F 0.978 0.169 0.900
F 0.059 0.471 0.127
F 0.633 0.288 0.937
F 0.370 0.212 0.065
F 0.432 0.471 0.286
F 0.568 0.529 0.714
F 0.197 0.765 0.774
F 0.139 0.784 0.355
F 0.792 0.880 0.423
F 0.941 0.529 0.873
F 0.190 0.075 0.174
F 0.658 0.931 0.039
F 0.559 0.707 0.364
F 0.461 0.028 0.288
F 0.367 0.712 0.063
F 0.119 0.776 0.940
F 0.659 0.946 0.578
F 0.523 0.277 0.502
F 0.477 0.723 0.498
F 0.539 0.972 0.712
F 0.810 0.925 0.826
F 0.630 0.788 0.935
F 0.904 0.864 0.673
F 0.861 0.216 0.645
F 0.464 0.384 0.160
F 0.022 0.831 0.100
F 0.729 0.253 0.795
F 0.297 0.741 0.633
F 0.722 0.610 0.172
F 0.621 0.015 0.155
F 0.208 0.120 0.577
F 0.034 0.478 0.718
F 0.096 0.136 0.327
F 0.182 0.450 0.971
F 0.818 0.550 0.029
F 0.104 0.142 0.739
F 0.146 0.469 0.560
F 0.271 0.747 0.205
F 0.803 0.235 0.226
F 0.881 0.224 0.060
F 0.742 0.600 0.599
F 0.896 0.858 0.261
F 0.441 0.293 0.636
F 0.278 0.390 0.828
F 0.258 0.400 0.401
F 0.341 0.054 0.422
F 0.966 0.522 0.282
F 0.342 0.069 0.961
F 0.536 0.616 0.840
F 0.964 0.171 0.484
F 0.854 0.531 0.440
F 0.703 0.259 0.367
F 0.379 0.985 0.845
F 0.036 0.829 0.516
Li 0.537 0.431 0.797
Li 0.173 0.004 0.913
Li 0.747 0.703 0.866
Li 0.898 0.293 0.296
Li 0.748 0.309 0.446
Li 0.660 0.398 0.652
Li 0.102 0.707 0.704
Li 0.463 0.569 0.203
Li 0.621 0.719 0.018
Li 0.253 0.297 0.134
Li 0.303 0.979 0.768
Li 0.379 0.281 0.982
Li 0.827 0.996 0.087
Li 0.487 0.134 0.579
Li 0.340 0.602 0.348
Li 0.513 0.866 0.421
Li 0.697 0.021 0.232
Li 0.252 0.691 0.554
Mn 0.991 0.670 0.188
Mn 0.108 0.648 0.033
Mn 0.060 0.990 0.417
Mn 0.430 0.243 0.336
Mn 0.009 0.330 0.812
Mn 0.570 0.757 0.664
Mn 0.940 0.010 0.583
Mn 0.236 0.307 0.492
Mn 0.150 0.324 0.652
Mn 0.603 0.038 0.903
Mn 0.892 0.352 0.967
Mn 0.764 0.693 0.508
Mn 0.198 0.953 0.259
Mn 0.397 0.962 0.097
Mn 0.850 0.676 0.348
Mn 0.755 0.360 0.135
Mn 0.802 0.047 0.741
Mn 0.245 0.640 0.865



(4)
LiMn2F6: relaxed, GGA+U.

The theoretical density comes out at 3.55 g/cm³. The calculation puts the energy of formation at -2.920 eV per atom. For the total DFT energy (no corrections), the calculation gives -0.424 Ry per atom.

Cell: 4.738 4.738 9.606 Å, 90.00 90.00 90.00°
Sites, in units of the cell vectors:
F 0.803 0.803 0.500
F 0.303 0.697 0.000
F 0.703 0.297 0.667
F 0.697 0.303 0.000
F 0.203 0.203 0.167
F 0.703 0.297 0.333
F 0.197 0.197 0.500
F 0.297 0.703 0.667
F 0.797 0.797 0.833
F 0.297 0.703 0.333
F 0.203 0.203 0.833
F 0.797 0.797 0.167
Mn 0.000 0.000 0.334
Mn 0.500 0.500 0.834
Mn 0.000 0.000 0.666
Mn 0.500 0.500 0.166
Li 0.000 0.000 0.000
Li 0.500 0.500 0.500



(5)
Li2MnF6: relaxed, GGA+U.

The theoretical density comes out at 3.25 g/cm³. The calculation puts the energy of formation at -2.839 eV per atom. For the total DFT energy (no corrections), the calculation gives -0.372 Ry per atom.

Cell: 4.930 4.930 4.436 Å, 90.00 90.00 120.00°
Sites, in units of the cell vectors:
F 0.308 0.308 0.240
F 0.308 0.000 0.760
F 0.000 0.308 0.760
F 0.692 0.692 0.760
F 0.000 0.692 0.240
F 0.692 0.000 0.240
Mn 0.000 0.000 0.000
Li 0.667 0.333 0.500
Li 0.333 0.667 0.500



(6)
Li2MnF6: relaxed, GGA+U.

The theoretical density comes out at 3.06 g/cm³. The calculation puts the energy of formation at -2.852 eV per atom. For the total DFT energy (no corrections), the calculation gives -0.373 Ry per atom.

Cell: 5.043 5.043 9.004 Å, 90.00 90.00 120.00°
Sites, in units of the cell vectors:
F 0.365 0.334 0.366
F 0.972 0.337 0.136
F 0.031 0.365 0.634
F 0.337 0.365 0.864
F 0.365 0.028 0.136
F 0.663 0.635 0.136
F 0.969 0.635 0.366
F 0.666 0.031 0.366
F 0.334 0.969 0.634
F 0.028 0.663 0.864
F 0.635 0.972 0.864
F 0.635 0.666 0.634
Li 0.667 0.333 0.744
Li 0.000 0.000 0.000
Li 0.000 0.000 0.500
Li 0.333 0.667 0.256
Mn 0.667 0.333 0.250
Mn 0.333 0.667 0.750



Please write out number 3 again, unchanged.
LiMnF3: relaxed, GGA+U.

The theoretical density comes out at 2.98 g/cm³. The calculation puts the energy of formation at -2.977 eV per atom. For the total DFT energy (no corrections), the calculation gives -0.421 Ry per atom.

Cell: 7.001 8.051 21.516 Å, 82.98 82.40 88.74°
Sites, in units of the cell vectors:
F 0.978 0.169 0.900
F 0.059 0.471 0.127
F 0.633 0.288 0.937
F 0.370 0.212 0.065
F 0.432 0.471 0.286
F 0.568 0.529 0.714
F 0.197 0.765 0.774
F 0.139 0.784 0.355
F 0.792 0.880 0.423
F 0.941 0.529 0.873
F 0.190 0.075 0.174
F 0.658 0.931 0.039
F 0.559 0.707 0.364
F 0.461 0.028 0.288
F 0.367 0.712 0.063
F 0.119 0.776 0.940
F 0.659 0.946 0.578
F 0.523 0.277 0.502
F 0.477 0.723 0.498
F 0.539 0.972 0.712
F 0.810 0.925 0.826
F 0.630 0.788 0.935
F 0.904 0.864 0.673
F 0.861 0.216 0.645
F 0.464 0.384 0.160
F 0.022 0.831 0.100
F 0.729 0.253 0.795
F 0.297 0.741 0.633
F 0.722 0.610 0.172
F 0.621 0.015 0.155
F 0.208 0.120 0.577
F 0.034 0.478 0.718
F 0.096 0.136 0.327
F 0.182 0.450 0.971
F 0.818 0.550 0.029
F 0.104 0.142 0.739
F 0.146 0.469 0.560
F 0.271 0.747 0.205
F 0.803 0.235 0.226
F 0.881 0.224 0.060
F 0.742 0.600 0.599
F 0.896 0.858 0.261
F 0.441 0.293 0.636
F 0.278 0.390 0.828
F 0.258 0.400 0.401
F 0.341 0.054 0.422
F 0.966 0.522 0.282
F 0.342 0.069 0.961
F 0.536 0.616 0.840
F 0.964 0.171 0.484
F 0.854 0.531 0.440
F 0.703 0.259 0.367
F 0.379 0.985 0.845
F 0.036 0.829 0.516
Li 0.537 0.431 0.797
Li 0.173 0.004 0.913
Li 0.747 0.703 0.866
Li 0.898 0.293 0.296
Li 0.748 0.309 0.446
Li 0.660 0.398 0.652
Li 0.102 0.707 0.704
Li 0.463 0.569 0.203
Li 0.621 0.719 0.018
Li 0.253 0.297 0.134
Li 0.303 0.979 0.768
Li 0.379 0.281 0.982
Li 0.827 0.996 0.087
Li 0.487 0.134 0.579
Li 0.340 0.602 0.348
Li 0.513 0.866 0.421
Li 0.697 0.021 0.232
Li 0.252 0.691 0.554
Mn 0.991 0.670 0.188
Mn 0.108 0.648 0.033
Mn 0.060 0.990 0.417
Mn 0.430 0.243 0.336
Mn 0.009 0.330 0.812
Mn 0.570 0.757 0.664
Mn 0.940 0.010 0.583
Mn 0.236 0.307 0.492
Mn 0.150 0.324 0.652
Mn 0.603 0.038 0.903
Mn 0.892 0.352 0.967
Mn 0.764 0.693 0.508
Mn 0.198 0.953 0.259
Mn 0.397 0.962 0.097
Mn 0.850 0.676 0.348
Mn 0.755 0.360 0.135
Mn 0.802 0.047 0.741
Mn 0.245 0.640 0.865